[1]
4
Lattice="-0.7993 2.7008 2.0518 0.4071 -2.0164 2.8127 5.8787 1.1511 -2.1841" Properties=species:S:1:pos:R:3 comment="NbAs (PBE, optimized geometry)" total_energy_ry_per_atom=-0.59216 sg="I4_1md, No. 109" piezo_max_c_m2=119.04 pbc="T T T"
As 1.9054 0.5007 0.0832
As 4.9503 0.2392 1.6136
Nb 5.2754 2.8417 1.2737
Nb 2.6377 1.0869 2.5560

[2]
4
Lattice="-1.9896 1.9896 4.5677 1.9896 -1.9896 4.5677 1.9896 1.9896 -4.5677" Properties=species:S:1:pos:R:3 comment="NbAs3 (PBE, optimized geometry)" total_energy_ry_per_atom=-0.43004 sg="I4/mmm, No. 139" pbc="T T T"
As 1.9896 0.0000 2.2839
As 0.0000 1.9896 2.2839
As 0.0000 0.0000 4.5677
Nb 0.0000 0.0000 0.0000

[3]
36
Lattice="-8.0562 8.0562 2.0224 8.0562 -8.0562 2.0224 8.0562 8.0562 -2.0224" Properties=species:S:1:pos:R:3 comment="Nb9As2O25 (PBE, optimized geometry)" corrected_energy_ev_per_atom=-8.797 total_energy_ry_per_atom=-0.61150 sg="I4/m, No. 87" pbc="T T T"
O -0.9461 6.5340 2.0224
O 0.8090 14.2311 0.0000
O 0.2611 4.5353 0.0000
O 4.0924 6.2591 0.0000
O 0.0000 0.0000 2.0224
O -1.7970 3.9638 2.0224
O 5.6436 2.6234 0.0000
O 9.0023 1.5221 0.0000
O 2.4126 5.4328 2.0224
O 11.5771 0.2611 0.0000
O 2.9135 3.4280 0.0000
O 7.7951 3.5209 2.0224
O 5.4328 -2.4125 2.0224
O 5.1427 4.6281 2.0224
O 9.8532 4.0924 0.0000
O -3.5209 7.7951 2.0224
O 2.6234 10.4687 0.0000
O 3.9638 1.7970 2.0224
O 1.5221 7.1100 0.0000
O 12.6843 2.9135 0.0000
O -4.6281 5.1427 2.0224
O 1.8812 0.8090 0.0000
O 7.2472 -6.1749 2.0224
O 6.1749 7.2472 2.0224
O 6.5340 0.9461 2.0224
Nb 6.4331 -4.4901 2.0224
Nb 4.4901 6.4331 2.0224
Nb 6.0473 2.9196 2.0224
Nb 0.0000 0.0000 0.0000
Nb -2.9196 6.0473 2.0224
Nb 10.9758 2.0088 0.0000
Nb 1.6230 12.5462 0.0000
Nb 3.5661 1.6230 0.0000
Nb 2.0088 5.1365 0.0000
As 8.0562 0.0000 1.0112
As 0.0000 8.0562 1.0112

[4]
13
Lattice="-5.3088 5.3088 1.9089 5.3088 -5.3088 1.9089 5.3088 5.3088 -1.9089" Properties=species:S:1:pos:R:3 comment="Nb5As4Pd4 (PBE, optimized geometry)" total_energy_ry_per_atom=-0.54521 sg="I4/m, No. 87" pbc="T T T"
Pd 4.1258 1.0213 1.9089
Pd 1.1830 4.2875 0.0000
Pd -1.0213 4.1258 1.9089
Pd 6.3301 1.1830 0.0000
As 2.7188 4.6087 1.9089
As 2.5900 0.7001 0.0000
As 0.7001 8.0276 0.0000
As 4.6087 -2.7188 1.9089
Nb 0.0000 0.0000 0.0000
Nb 1.2558 1.9956 1.9089
Nb 4.0530 3.3132 0.0000
Nb 3.3132 6.5646 0.0000
Nb 1.9956 -1.2558 1.9089

[5]
34
Lattice="6.9235 7.7377 0.0000 -6.9235 7.7377 0.0000 0.0000 1.5277 10.1306" Properties=species:S:1:pos:R:3 comment="Rb3Nb2AsSe11 (PBE, optimized geometry)" corrected_energy_ev_per_atom=-4.936 total_energy_ry_per_atom=-0.34037 sg="Cc, No. 9" pbc="T T T"
Se 1.4034 10.3478 4.4400
Se 0.6154 10.5969 6.6812
Se 1.4686 3.6065 1.7546
Se 2.5550 12.4158 8.6329
Se 3.4403 10.3523 2.1663
Se 2.2891 4.2604 9.1074
Se 5.7871 7.5478 3.6005
Se -5.7871 8.3116 8.6658
Se -1.4686 4.3703 6.8198
Se -2.6957 6.5788 1.0617
Se -1.4034 11.1117 9.5052
Se 4.5632 5.4595 0.1467
Se -3.4403 11.1161 7.2316
Se -2.2161 7.9659 7.6837
Se -2.2891 3.4965 4.0421
Se 2.2161 7.2020 2.6185
Se -4.5632 6.2233 5.2120
Se -0.6154 9.8331 1.6159
Se -4.0852 8.4360 1.6991
Se 2.6957 7.3426 6.1270
Se 4.0852 9.1998 6.7644
Se -2.5550 11.6520 3.5676
Rb -1.0770 7.3776 4.3675
Rb 0.9357 12.9709 1.8788
Rb -0.9357 13.7347 6.9441
Rb 5.8219 8.8188 0.1493
Rb -5.8219 9.5826 5.2146
Rb 1.0770 8.1415 9.4328
Nb -3.7827 9.4599 9.2558
Nb -2.8498 11.0423 1.0054
Nb 2.8498 11.8061 6.0707
Nb 3.7827 8.6961 4.1905
As -2.2243 5.7734 8.7128
As 2.2243 5.0096 3.6475

[6]
14
Lattice="-6.4088 -1.1636 8.2746 -3.7513 -1.1668 -9.7705 0.7844 -3.4943 0.1161" Properties=species:S:1:pos:R:3 comment="Nb3Te3As (PBE, optimized geometry)" total_energy_ry_per_atom=-0.50634 sg="P6_3/m, No. 176" pbc="T T T"
Te -7.6496 -2.7581 -3.6826
Te -6.5221 -4.0464 5.2147
Te -2.8199 -1.5815 -0.9023
Te -2.8536 -1.7783 -6.5944
Te -6.5558 -4.2431 -0.4775
Te -1.7261 -3.0666 2.3029
Nb -6.8750 -4.2166 2.4756
Nb -5.5080 -2.3338 -5.3824
Nb -5.3144 -2.1760 -1.9414
Nb -3.8677 -3.4908 4.0027
Nb -2.5007 -1.6080 -3.8554
Nb -4.0613 -3.6486 0.5617
As -4.0489 -3.7864 -3.6684
As -5.3269 -2.0382 2.2886

[7]
29
Lattice="3.6086 10.5415 0.0000 -3.6086 10.5415 0.0000 0.0000 5.2777 9.1353" Properties=species:S:1:pos:R:3 comment="Nb12TlTe12As4 (PBE, optimized geometry)" total_energy_ry_per_atom=-0.49461 sg="Cm, No. 8" pbc="T T T"
Te -1.8008 15.1927 6.5960
Te 0.0000 16.4374 2.5452
Te -1.8064 9.0986 3.0141
Te 0.0000 11.1590 0.4855
Te 0.0000 0.5717 0.4725
Te 1.8008 15.1927 6.5960
Te -1.8070 20.5213 8.6606
Te 0.0000 5.8666 2.5743
Te 1.8070 20.5213 8.6606
Te 0.0000 22.5275 6.1114
Te 1.8064 9.0986 3.0141
Te 0.0000 11.9771 6.0831
Nb 0.0000 13.8281 1.1655
Nb -1.8097 17.8373 7.9757
Nb 1.8097 17.8373 7.9757
Nb 0.0000 14.5028 4.5217
Nb -1.8033 9.8497 5.6810
Nb 0.0000 21.7737 3.4456
Nb 0.0000 3.2529 1.1573
Nb -1.8010 17.1281 4.6149
Nb 0.0000 11.2338 3.4318
Nb 1.8033 9.8497 5.6810
Nb 1.8010 17.1281 4.6149
Nb 0.0000 3.9423 4.5453
Tl 0.0000 13.1838 9.1349
As 1.8056 13.1803 3.0432
As -1.8056 13.1803 3.0432
As 0.0000 18.4516 6.0944
As 0.0000 7.9088 6.0898

[8]
21
Lattice="-4.1112 -0.2681 8.4113 1.5539 -7.9460 -4.7084 3.4673 -0.3201 1.6846" Properties=species:S:1:pos:R:3 comment="Nd2Ni12As7 (PBE, optimized geometry)" total_energy_ry_per_atom=-0.42910 sg="P-6, No. 174" pbc="T T T"
Ni 0.0729 -4.8993 3.3601
Ni -0.8906 -3.5585 1.1569
Ni -0.1095 -7.5534 3.2311
Ni -0.9409 -1.0805 1.7313
Ni 2.7151 -7.2271 -2.5208
Ni -3.3573 -1.4267 6.6394
Ni -1.6002 -3.4237 7.0842
Ni 0.7400 -4.9328 -2.4606
Ni -0.8529 -7.6689 0.2982
Ni -2.3703 -5.9751 3.7434
Ni 0.0598 -0.6395 4.1966
Ni 1.5920 -1.8598 0.8110
As -1.0121 -5.1524 5.5453
As -0.9965 -1.1915 6.2659
As 0.1936 -7.1209 -1.7517
As 0.1570 -3.2208 -0.9353
As 0.5411 -2.6185 2.8297
As 0.0000 0.0000 0.0000
As -1.3541 -5.8185 1.6814
Nd -2.2228 -2.8274 4.0380
Nd 1.3992 -5.5468 0.5071